Compound: KTl2Bi
Source: the Materials Project
Functional: PBE-GGA
Structure: relaxed

a b c (Å): 5.786 5.786 5.786
angles (deg): 60.00 60.00 60.00
Fractional positions:
K (0.000, 0.000, 0.000)
Tl (0.250, 0.250, 0.250)
Tl (0.750, 0.750, 0.750)
Bi (0.500, 0.500, 0.500)

* E: -2.629 eV/atom


Compound: LaBi
Source: the Materials Project
Functional: PBE-GGA
Structure: relaxed

a b c (Å): 4.716 4.716 4.716
angles (deg): 60.00 60.00 60.00
Fractional positions:
La (0.000, 0.000, 0.000)
Bi (0.500, 0.500, 0.500)

* E: -5.460 eV/atom


Compound: LaBi3
Source: the Materials Project
Functional: PBE-GGA
Structure: relaxed

a b c (Å): 5.026 5.026 5.026
angles (deg): 90.00 90.00 90.00
Fractional positions:
La (0.000, 0.000, 0.000)
Bi (0.000, 0.500, 0.500)
Bi (0.500, 0.000, 0.500)
Bi (0.500, 0.500, 0.000)

* E: -4.708 eV/atom


Compound: La4Bi3
Source: the Materials Project
Functional: PBE-GGA
Structure: relaxed

a b c (Å): 8.572 8.572 8.572
angles (deg): 109.47 109.47 109.47
Fractional positions:
La (0.000, 0.147, 0.500)
La (0.000, 0.647, 0.500)
La (0.147, 0.500, 0.000)
La (0.353, 0.353, 0.353)
La (0.500, 0.000, 0.147)
La (0.500, 0.000, 0.647)
La (0.647, 0.500, 0.000)
La (0.853, 0.853, 0.853)
Bi (0.125, 0.875, 0.250)
Bi (0.250, 0.125, 0.875)
Bi (0.375, 0.625, 0.750)
Bi (0.625, 0.750, 0.375)
Bi (0.750, 0.375, 0.625)
Bi (0.875, 0.250, 0.125)

* E: -5.403 eV/atom


Compound: La2Bi
Source: the Materials Project
Functional: PBE-GGA
Structure: relaxed

a b c (Å): 9.847 9.847 9.847
angles (deg): 152.19 152.19 39.73
Fractional positions:
La (0.000, 0.500, 0.500)
La (0.178, 0.178, 0.000)
La (0.500, 0.000, 0.500)
La (0.822, 0.822, 0.000)
Bi (0.362, 0.362, 0.000)
Bi (0.638, 0.638, 0.000)

* E: -5.348 eV/atom


Compound: La5Bi3
Source: the Materials Project
Functional: PBE-GGA
Structure: relaxed

a b c (Å): 9.769 9.769 6.659
angles (deg): 90.00 90.00 120.00
Fractional positions:
La (0.000, 0.252, 0.250)
La (0.000, 0.748, 0.750)
La (0.252, 0.000, 0.250)
La (0.252, 0.252, 0.750)
La (0.333, 0.667, 0.000)
La (0.333, 0.667, 0.500)
La (0.667, 0.333, 0.000)
La (0.667, 0.333, 0.500)
La (0.748, 0.000, 0.750)
La (0.748, 0.748, 0.250)
Bi (0.000, 0.384, 0.750)
Bi (0.000, 0.616, 0.250)
Bi (0.384, 0.000, 0.750)
Bi (0.384, 0.384, 0.250)
Bi (0.616, 0.000, 0.250)
Bi (0.616, 0.616, 0.750)

* E: -5.365 eV/atom


Compound: Sr5Li25La7Bi8O48
Source: the Materials Project
Functional: PBE-GGA
Structure: relaxed

a b c (Å): 11.547 11.593 11.599
angles (deg): 109.91 108.61 109.71
Fractional positions:
Sr (0.000, 0.000, 0.000)
Sr (0.012, 0.546, 0.520)
Sr (0.148, 0.912, 0.517)
Sr (0.630, 0.908, 0.010)
Sr (0.869, 0.556, 0.142)
Li (0.016, 0.273, 0.273)
Li (0.016, 0.888, 0.220)
Li (0.026, 0.772, 0.772)
Li (0.031, 0.414, 0.149)
Li (0.091, 0.343, 0.946)
Li (0.103, 0.272, 0.117)
Li (0.148, 0.587, 0.077)
Li (0.149, 0.795, 0.146)
Li (0.223, 0.423, 0.447)
Li (0.314, 0.465, 0.983)
Li (0.372, 0.886, 0.751)
Li (0.414, 0.553, 0.648)
Li (0.471, 0.560, 0.858)
Li (0.514, 0.037, 0.512)
Li (0.517, 0.113, 0.934)
Li (0.533, 0.510, 0.043)
Li (0.625, 0.323, 0.135)
Li (0.644, 0.352, 0.365)
Li (0.730, 0.536, 0.613)
Li (0.743, 0.769, 0.158)
Li (0.813, 0.279, 0.193)
Li (0.859, 0.949, 0.433)
Li (0.881, 0.066, 0.665)
Li (0.921, 0.047, 0.281)
Li (0.964, 0.914, 0.687)
La (0.136, 0.278, 0.631)
La (0.378, 0.029, 0.130)
La (0.399, 0.423, 0.278)
La (0.508, 0.792, 0.263)
La (0.518, 0.284, 0.758)
La (0.632, 0.791, 0.640)
La (0.884, 0.408, 0.757)
Bi (0.259, 0.664, 0.396)
Bi (0.262, 0.156, 0.883)
Bi (0.262, 0.658, 0.887)
Bi (0.278, 0.168, 0.390)
Bi (0.755, 0.160, 0.389)
Bi (0.764, 0.165, 0.887)
Bi (0.766, 0.665, 0.400)
Bi (0.770, 0.666, 0.894)
O (0.059, 0.619, 0.767)
O (0.072, 0.470, 0.331)
O (0.078, 0.085, 0.689)
O (0.090, 0.062, 0.404)
O (0.132, 0.725, 0.277)
O (0.143, 0.454, 0.870)
O (0.151, 0.977, 0.896)
O (0.178, 0.258, 0.277)
O (0.179, 0.980, 0.189)
O (0.207, 0.278, 0.020)
O (0.233, 0.755, 0.566)
O (0.238, 0.523, 0.197)
O (0.267, 0.530, 0.706)
O (0.284, 0.764, 0.094)
O (0.336, 0.348, 0.579)
O (0.357, 0.074, 0.771)
O (0.364, 0.346, 0.866)
O (0.376, 0.102, 0.521)
O (0.384, 0.866, 0.924)
O (0.387, 0.581, 0.487)
O (0.435, 0.249, 0.330)
O (0.438, 0.217, 0.071)
O (0.453, 0.661, 0.014)
O (0.467, 0.826, 0.460)
O (0.548, 0.031, 0.347)
O (0.554, 0.588, 0.227)
O (0.586, 0.980, 0.831)
O (0.593, 0.693, 0.804)
O (0.636, 0.568, 0.474)
O (0.648, 0.160, 0.198)
O (0.655, 0.556, 0.974)
O (0.672, 0.191, 0.714)
O (0.687, 0.288, 0.998)
O (0.691, 0.458, 0.728)
O (0.734, 0.950, 0.271)
O (0.762, 0.856, 0.514)
O (0.774, 0.478, 0.302)
O (0.787, 0.365, 0.517)
O (0.840, 0.032, 0.800)
O (0.847, 0.757, 0.783)
O (0.850, 0.869, 0.082)
O (0.871, 0.770, 0.313)
O (0.887, 0.182, 0.584)
O (0.901, 0.191, 0.083)
O (0.944, 0.370, 0.963)
O (0.948, 0.653, 0.001)
O (0.954, 0.250, 0.395)
O (0.963, 0.749, 0.575)

* E: -5.885 eV/atom
* M_tot: 0.00 μB/cell


Compound: LaMg6Bi
Source: the Materials Project
Functional: PBE-GGA
Structure: relaxed

a b c (Å): 5.085 6.622 12.621
angles (deg): 90.00 90.00 90.00
Fractional positions:
Mg (0.000, 0.771, 0.069)
Mg (0.000, 0.229, 0.069)
Mg (0.000, 0.000, 0.348)
Mg (0.500, 0.254, 0.930)
Mg (0.000, 0.729, 0.569)
Mg (0.000, 0.500, 0.848)
Mg (0.500, 0.754, 0.430)
Mg (0.000, 0.271, 0.569)
Mg (0.500, 0.246, 0.430)
Mg (0.500, 0.746, 0.930)
Mg (0.500, 0.000, 0.196)
Mg (0.500, 0.500, 0.696)
Bi (0.500, 0.500, 0.142)
Bi (0.500, 0.000, 0.642)
La (0.000, 0.000, 0.815)
La (0.000, 0.500, 0.315)

* polymorph energy (0 for the lowest one): 0.000 eV per atom
* M_tot: 0.00 μB/cell


Compound: LaMg14Bi
Source: the Materials Project
Functional: PBE-GGA
Structure: relaxed

a b c (Å): 6.541 6.541 10.754
angles (deg): 90.00 90.00 120.00
Fractional positions:
La (0.000, 0.000, 0.000)
Mg (0.011, 0.505, 0.000)
Mg (0.169, 0.337, 0.252)
Mg (0.169, 0.337, 0.748)
Mg (0.169, 0.831, 0.252)
Mg (0.169, 0.831, 0.748)
Mg (0.495, 0.505, 0.000)
Mg (0.495, 0.989, 0.000)
Mg (0.503, 0.005, 0.500)
Mg (0.503, 0.497, 0.500)
Mg (0.663, 0.831, 0.252)
Mg (0.663, 0.831, 0.748)
Mg (0.667, 0.333, 0.241)
Mg (0.667, 0.333, 0.759)
Mg (0.995, 0.497, 0.500)
Bi (0.000, 0.000, 0.500)

* polymorph energy (0 for the lowest one): 0.046 eV per atom
* M_tot: 0.00 μB/cell


Compound: La3MgBi5
Source: the Materials Project
Functional: PBE-GGA
Structure: relaxed

a b c (Å): 9.867 9.867 6.612
angles (deg): 90.00 90.00 120.00
Fractional positions:
La (0.000, 0.380, 0.250)
La (0.000, 0.620, 0.750)
La (0.380, 0.000, 0.250)
La (0.380, 0.380, 0.750)
La (0.620, 0.000, 0.750)
La (0.620, 0.620, 0.250)
Mg (0.000, 0.000, 0.000)
Mg (0.000, 0.000, 0.500)
Bi (0.000, 0.266, 0.750)
Bi (0.000, 0.734, 0.250)
Bi (0.266, 0.000, 0.750)
Bi (0.266, 0.266, 0.250)
Bi (0.333, 0.667, 0.000)
Bi (0.333, 0.667, 0.500)
Bi (0.667, 0.333, 0.000)
Bi (0.667, 0.333, 0.500)
Bi (0.734, 0.000, 0.250)
Bi (0.734, 0.734, 0.750)

* E: -4.709 eV/atom
* M_tot: 0.00 μB/cell


Compound: LaMg14Bi
Source: the Materials Project
Functional: PBE-GGA
Structure: relaxed

a b c (Å): 10.532 6.611 6.611
angles (deg): 59.19 90.00 90.00
Fractional positions:
La (0.000, 0.000, 0.000)
Mg (0.000, 0.005, 0.496)
Mg (0.000, 0.496, 0.005)
Mg (0.251, 0.670, 0.670)
Mg (0.257, 0.170, 0.170)
Mg (0.260, 0.165, 0.664)
Mg (0.260, 0.664, 0.165)
Mg (0.500, 0.000, 0.501)
Mg (0.500, 0.001, 0.001)
Mg (0.500, 0.501, 0.000)
Mg (0.500, 0.501, 0.501)
Mg (0.740, 0.165, 0.664)
Mg (0.740, 0.664, 0.165)
Mg (0.743, 0.170, 0.170)
Mg (0.749, 0.670, 0.670)
Bi (0.000, 0.499, 0.499)

* polymorph energy (0 for the lowest one): 0.000 eV per atom
* M_tot: 0.00 μB/cell


Compound: LaMg6Bi
Source: the Materials Project
Functional: PBE-GGA
Structure: relaxed

a b c (Å): 5.335 7.038 7.038
angles (deg): 53.82 90.00 90.00
Fractional positions:
La (0.000, 0.000, 0.000)
Mg (0.000, 0.493, 0.995)
Mg (0.000, 0.995, 0.493)
Mg (0.500, 0.140, 0.639)
Mg (0.500, 0.168, 0.168)
Mg (0.500, 0.639, 0.140)
Mg (0.500, 0.658, 0.658)
Bi (0.000, 0.490, 0.490)

* polymorph energy (0 for the lowest one): 0.012 eV per atom
* M_tot: 0.00 μB/cell


Compound: La2MgZnBiO6
Source: the Materials Project
Functional: PBE-GGA
Structure: relaxed

a b c (Å): 5.924 6.352 6.557
angles (deg): 62.17 63.91 88.46
Fractional positions:
La (0.000, 0.000, 0.000)
La (0.161, 0.357, 0.257)
Mg (0.691, 0.879, 0.602)
Zn (0.603, 0.311, 0.703)
Bi (0.245, 0.720, 0.527)
O (0.313, 0.358, 0.584)
O (0.315, 0.738, 0.842)
O (0.343, 0.124, 0.079)
O (0.831, 0.179, 0.243)
O (0.837, 0.065, 0.705)
O (0.853, 0.637, 0.462)

* E: -6.436 eV/atom
* M_tot: 1.00 μB/cell


Compound: La3MnBi5
Source: the Materials Project
Functional: PBE-GGA
Structure: relaxed

a b c (Å): 9.780 9.780 6.574
angles (deg): 90.00 90.00 120.00
Fractional positions:
La (0.000, 0.380, 0.250)
La (0.000, 0.620, 0.750)
La (0.380, 0.000, 0.250)
La (0.380, 0.380, 0.750)
La (0.620, 0.000, 0.750)
La (0.620, 0.620, 0.250)
Mn (0.000, 0.000, 0.000)
Mn (0.000, 0.000, 0.500)
Bi (0.000, 0.252, 0.750)
Bi (0.000, 0.748, 0.250)
Bi (0.252, 0.000, 0.750)
Bi (0.252, 0.252, 0.250)
Bi (0.333, 0.667, 0.000)
Bi (0.333, 0.667, 0.500)
Bi (0.667, 0.333, 0.000)
Bi (0.667, 0.333, 0.500)
Bi (0.748, 0.000, 0.250)
Bi (0.748, 0.748, 0.750)

* E: -5.459 eV/atom
* M_tot: 7.48 μB/cell


Compound: La3Ni3Bi4
Source: the Materials Project
Functional: PBE-GGA
Structure: relaxed

a b c (Å): 8.635 8.635 8.635
angles (deg): 109.47 109.47 109.47
Fractional positions:
La (0.125, 0.875, 0.250)
La (0.250, 0.125, 0.875)
La (0.375, 0.625, 0.750)
La (0.625, 0.750, 0.375)
La (0.750, 0.375, 0.625)
La (0.875, 0.250, 0.125)
Ni (0.125, 0.750, 0.875)
Ni (0.250, 0.625, 0.375)
Ni (0.375, 0.250, 0.625)
Ni (0.625, 0.375, 0.250)
Ni (0.750, 0.875, 0.125)
Ni (0.875, 0.125, 0.750)
Bi (0.000, 0.156, 0.500)
Bi (0.000, 0.656, 0.500)
Bi (0.156, 0.500, 0.000)
Bi (0.344, 0.344, 0.344)
Bi (0.500, 0.000, 0.156)
Bi (0.500, 0.000, 0.656)
Bi (0.656, 0.500, 0.000)
Bi (0.844, 0.844, 0.844)

* E: -5.414 eV/atom


Compound: La2BiO5
Source: the Materials Project
Functional: PBE-GGA
Structure: relaxed

a b c (Å): 5.722 5.774 8.806
angles (deg): 71.72 86.36 86.52
Fractional positions:
La (0.000, 0.000, 0.000)
La (0.007, 0.669, 0.650)
La (0.047, 0.316, 0.326)
La (0.534, 0.146, 0.649)
Bi (0.512, 0.784, 0.352)
Bi (0.523, 0.510, 0.979)
O (0.275, 0.237, 0.025)
O (0.279, 0.994, 0.473)
O (0.290, 0.486, 0.507)
O (0.294, 0.784, 0.815)
O (0.308, 0.650, 0.155)
O (0.738, 0.341, 0.815)
O (0.762, 0.268, 0.143)
O (0.768, 0.799, 0.882)
O (0.785, 0.988, 0.498)
O (0.789, 0.508, 0.462)

* E: -7.311 eV/atom
* M_tot: 0.00 μB/cell


Compound: LaBi2O4
Source: the Materials Project
Functional: PBE-GGA
Structure: relaxed

a b c (Å): 9.576 9.576 9.576
angles (deg): 24.30 24.30 24.30
Fractional positions:
La (0.000, 0.000, 0.000)
Bi (0.223, 0.223, 0.223)
Bi (0.777, 0.777, 0.777)
O (0.096, 0.096, 0.096)
O (0.300, 0.300, 0.300)
O (0.700, 0.700, 0.700)
O (0.904, 0.904, 0.904)

* E: -6.519 eV/atom
* M_tot: 0.08 μB/cell